# 1
{"formula": "UC4O7", "functional": "PBE", "state": "optimized geometry", "lattice_angstrom": [[5.896, 0.000, 0.000], [0.000, 11.219, 0.000], [0.000, 0.000, 11.194]], "species": ["U", "U", "U", "U", "C", "C", "C", "C", "C", "C", "C", "C", "C", "C", "C", "C", "C", "C", "C", "C", "O", "O", "O", "O", "O", "O", "O", "O", "O", "O", "O", "O", "O", "O", "O", "O", "O", "O", "O", "O", "O", "O", "O", "O", "O", "O", "O", "O"], "fractional_positions": [[0.000, 0.166, 0.250], [0.000, 0.834, 0.750], [0.500, 0.334, 0.750], [0.500, 0.666, 0.250], [0.051, 0.434, 0.063], [0.051, 0.566, 0.563], [0.135, 0.444, 0.528], [0.135, 0.556, 0.028], [0.365, 0.056, 0.028], [0.365, 0.944, 0.528], [0.449, 0.066, 0.563], [0.449, 0.934, 0.063], [0.551, 0.066, 0.937], [0.551, 0.934, 0.437], [0.635, 0.056, 0.472], [0.635, 0.944, 0.972], [0.865, 0.444, 0.972], [0.865, 0.556, 0.472], [0.949, 0.434, 0.437], [0.949, 0.566, 0.937], [0.000, 0.004, 0.750], [0.000, 0.996, 0.250], [0.112, 0.360, 0.137], [0.112, 0.640, 0.637], [0.209, 0.121, 0.060], [0.209, 0.879, 0.560], [0.233, 0.320, 0.833], [0.233, 0.680, 0.333], [0.267, 0.180, 0.333], [0.267, 0.820, 0.833], [0.291, 0.379, 0.560], [0.291, 0.621, 0.060], [0.388, 0.140, 0.637], [0.388, 0.860, 0.137], [0.500, 0.496, 0.250], [0.500, 0.504, 0.750], [0.612, 0.140, 0.863], [0.612, 0.860, 0.363], [0.709, 0.379, 0.940], [0.709, 0.621, 0.440], [0.733, 0.180, 0.167], [0.733, 0.820, 0.667], [0.767, 0.320, 0.667], [0.767, 0.680, 0.167], [0.791, 0.121, 0.440], [0.791, 0.879, 0.940], [0.888, 0.360, 0.363], [0.888, 0.640, 0.863]], "formation_enthalpy_0k_ev_per_atom": -1.568, "total_energy_ev_per_cell": -387.4, "space_group": "Pbcn, No. 60"}



# 2
{"formula": "UCO6", "functional": "PBE", "state": "optimized geometry", "lattice_angstrom": [[6.451, 0.000, 0.000], [0.000, 11.018, 0.000], [0.000, 0.000, 17.324]], "species": ["U", "U", "U", "U", "U", "U", "U", "U", "C", "C", "C", "C", "C", "C", "C", "C", "O", "O", "O", "O", "O", "O", "O", "O", "O", "O", "O", "O", "O", "O", "O", "O", "O", "O", "O", "O", "O", "O", "O", "O", "O", "O", "O", "O", "O", "O", "O", "O", "O", "O", "O", "O", "O", "O", "O", "O", "O", "O", "O", "O", "O", "O", "O", "O"], "fractional_positions": [[0.162, 0.035, 0.075], [0.162, 0.465, 0.575], [0.338, 0.535, 0.075], [0.338, 0.965, 0.575], [0.662, 0.035, 0.425], [0.662, 0.465, 0.925], [0.838, 0.535, 0.425], [0.838, 0.965, 0.925], [0.171, 0.693, 0.284], [0.171, 0.807, 0.784], [0.329, 0.193, 0.284], [0.329, 0.307, 0.784], [0.671, 0.693, 0.216], [0.671, 0.807, 0.716], [0.829, 0.193, 0.216], [0.829, 0.307, 0.716], [0.042, 0.571, 0.645], [0.042, 0.929, 0.145], [0.065, 0.017, 0.597], [0.065, 0.483, 0.097], [0.110, 0.739, 0.340], [0.110, 0.761, 0.840], [0.135, 0.567, 0.470], [0.135, 0.933, 0.970], [0.231, 0.647, 0.227], [0.231, 0.853, 0.727], [0.248, 0.679, 0.035], [0.248, 0.821, 0.535], [0.252, 0.179, 0.035], [0.252, 0.321, 0.535], [0.269, 0.147, 0.227], [0.269, 0.353, 0.727], [0.365, 0.067, 0.470], [0.365, 0.433, 0.970], [0.390, 0.239, 0.340], [0.390, 0.261, 0.840], [0.435, 0.517, 0.597], [0.435, 0.983, 0.097], [0.458, 0.071, 0.645], [0.458, 0.429, 0.145], [0.542, 0.571, 0.855], [0.542, 0.929, 0.355], [0.565, 0.017, 0.903], [0.565, 0.483, 0.403], [0.610, 0.739, 0.160], [0.610, 0.761, 0.660], [0.635, 0.567, 0.030], [0.635, 0.933, 0.530], [0.731, 0.647, 0.273], [0.731, 0.853, 0.773], [0.748, 0.679, 0.465], [0.748, 0.821, 0.965], [0.752, 0.179, 0.465], [0.752, 0.321, 0.965], [0.769, 0.147, 0.273], [0.769, 0.353, 0.773], [0.865, 0.067, 0.030], [0.865, 0.433, 0.530], [0.890, 0.239, 0.160], [0.890, 0.261, 0.660], [0.935, 0.517, 0.903], [0.935, 0.983, 0.403], [0.958, 0.071, 0.855], [0.958, 0.429, 0.355]], "formation_enthalpy_0k_ev_per_atom": -2.149, "total_energy_ev_per_cell": -506.2, "polymorph_energy_mev_per_atom": 27, "space_group": "Pbca, No. 61"}



# 3
{"formula": "UCO5", "functional": "PBE", "state": "optimized geometry", "lattice_angstrom": [[4.891, 0.000, 0.000], [0.000, 9.665, 0.000], [0.000, 0.000, 4.349]], "species": ["U", "U", "C", "C", "O", "O", "O", "O", "O", "O", "O", "O", "O", "O"], "fractional_positions": [[0.250, 0.250, 0.238], [0.750, 0.750, 0.762], [0.250, 0.750, 0.376], [0.750, 0.250, 0.624], [0.014, 0.750, 0.246], [0.250, 0.065, 0.244], [0.250, 0.435, 0.244], [0.250, 0.750, 0.676], [0.486, 0.750, 0.246], [0.514, 0.250, 0.754], [0.750, 0.250, 0.324], [0.750, 0.565, 0.756], [0.750, 0.935, 0.756], [0.986, 0.250, 0.754]], "formation_enthalpy_0k_ev_per_atom": -2.822, "total_energy_ev_per_cell": -123.2, "space_group": "Pmmn, No. 59"}



# 4
{"formula": "UC2O7", "functional": "PBE", "state": "optimized geometry", "lattice_angstrom": [[3.786, 0.000, 0.000], [1.139, 4.694, 0.000], [1.745, -0.035, 17.252]], "species": ["U", "U", "C", "C", "C", "C", "O", "O", "O", "O", "O", "O", "O", "O", "O", "O", "O", "O", "O", "O"], "fractional_positions": [[0.000, 0.000, 0.000], [0.257, 0.499, 0.481], [0.095, 0.509, 0.863], [0.208, 0.012, 0.618], [0.259, 0.466, 0.119], [0.644, 0.968, 0.363], [0.050, 0.720, 0.095], [0.109, 0.756, 0.889], [0.158, 0.412, 0.798], [0.170, 0.830, 0.555], [0.186, 0.923, 0.683], [0.266, 0.252, 0.592], [0.309, 0.420, 0.186], [0.388, 0.281, 0.060], [0.397, 0.217, 0.386], [0.547, 0.835, 0.987], [0.695, 0.779, 0.422], [0.792, 0.334, 0.494], [0.792, 0.929, 0.298], [0.990, 0.332, 0.926]], "formation_enthalpy_0k_ev_per_atom": -2.229, "total_energy_ev_per_cell": -163.7, "polymorph_energy_mev_per_atom": 0, "space_group": "P1, No. 1"}



# 5
{"formula": "YC2O6", "functional": "PBE", "state": "optimized geometry", "lattice_angstrom": [[3.900, -7.587, 0.000], [3.900, 7.587, 0.000], [0.000, 0.000, 9.656]], "species": ["Y", "Y", "Y", "Y", "C", "C", "C", "C", "C", "C", "C", "C", "O", "O", "O", "O", "O", "O", "O", "O", "O", "O", "O", "O", "O", "O", "O", "O", "O", "O", "O", "O", "O", "O", "O", "O"], "fractional_positions": [[0.199, 0.801, 0.750], [0.211, 0.789, 0.250], [0.789, 0.211, 0.750], [0.801, 0.199, 0.250], [0.027, 0.580, 0.499], [0.099, 0.111, 0.741], [0.111, 0.099, 0.259], [0.420, 0.973, 0.001], [0.580, 0.027, 0.501], [0.889, 0.901, 0.759], [0.901, 0.889, 0.241], [0.973, 0.420, 0.999], [0.007, 0.508, 0.882], [0.023, 0.501, 0.119], [0.089, 0.251, 0.729], [0.102, 0.240, 0.259], [0.127, 0.768, 0.496], [0.232, 0.873, 0.004], [0.240, 0.102, 0.741], [0.251, 0.089, 0.271], [0.355, 0.645, 0.750], [0.373, 0.627, 0.250], [0.492, 0.993, 0.618], [0.499, 0.977, 0.381], [0.501, 0.023, 0.881], [0.508, 0.007, 0.118], [0.627, 0.373, 0.750], [0.645, 0.355, 0.250], [0.749, 0.911, 0.771], [0.760, 0.898, 0.241], [0.768, 0.127, 0.504], [0.873, 0.232, 0.996], [0.898, 0.760, 0.759], [0.911, 0.749, 0.229], [0.977, 0.499, 0.619], [0.993, 0.492, 0.382]], "formation_enthalpy_0k_ev_per_atom": -1.995, "total_energy_ev_per_cell": -273.8, "space_group": "C222_1, No. 20"}



# 6
{"formula": "Y2C3O11", "functional": "PBE", "state": "optimized geometry", "lattice_angstrom": [[7.528, -2.998, 0.000], [7.528, 2.998, 0.000], [0.000, 0.000, 9.266]], "species": ["Y", "Y", "Y", "Y", "C", "C", "C", "C", "C", "C", "O", "O", "O", "O", "O", "O", "O", "O", "O", "O", "O", "O", "O", "O", "O", "O", "O", "O", "O", "O", "O", "O"], "fractional_positions": [[0.154, 0.161, 0.000], [0.161, 0.154, 0.500], [0.839, 0.846, 0.000], [0.846, 0.839, 0.500], [0.064, 0.548, 0.248], [0.231, 0.769, 0.567], [0.452, 0.936, 0.248], [0.548, 0.064, 0.748], [0.769, 0.231, 0.067], [0.936, 0.452, 0.748], [0.026, 0.238, 0.749], [0.026, 0.974, 0.505], [0.087, 0.458, 0.371], [0.112, 0.447, 0.125], [0.238, 0.026, 0.249], [0.239, 0.587, 0.906], [0.239, 0.608, 0.592], [0.392, 0.761, 0.592], [0.413, 0.761, 0.906], [0.447, 0.112, 0.625], [0.458, 0.087, 0.871], [0.542, 0.913, 0.371], [0.553, 0.888, 0.125], [0.587, 0.239, 0.406], [0.608, 0.239, 0.092], [0.761, 0.392, 0.092], [0.761, 0.413, 0.406], [0.762, 0.974, 0.749], [0.888, 0.553, 0.625], [0.913, 0.542, 0.871], [0.974, 0.026, 0.005], [0.974, 0.762, 0.249]], "formation_enthalpy_0k_ev_per_atom": -2.106, "total_energy_ev_per_cell": -242.4, "space_group": "Cmc2_1, No. 36"}



# 7
{"formula": "ZnC5O8", "functional": "PBE", "state": "optimized geometry", "lattice_angstrom": [[8.602, 0.000, 0.000], [0.000, 15.085, 0.000], [0.000, 0.000, 12.704]], "species": ["Zn", "Zn", "Zn", "Zn", "Zn", "Zn", "Zn", "Zn", "C", "C", "C", "C", "C", "C", "C", "C", "C", "C", "C", "C", "C", "C", "C", "C", "C", "C", "C", "C", "C", "C", "C", "C", "C", "C", "C", "C", "C", "C", "C", "C", "C", "C", "C", "C", "C", "C", "C", "C", "O", "O", "O", "O", "O", "O", "O", "O", "O", "O", "O", "O", "O", "O", "O", "O", "O", "O", "O", "O", "O", "O", "O", "O", "O", "O", "O", "O", "O", "O", "O", "O", "O", "O", "O", "O", "O", "O", "O", "O", "O", "O", "O", "O", "O", "O", "O", "O", "O", "O", "O", "O", "O", "O", "O", "O", "O", "O", "O", "O", "O", "O", "O", "O"], "fractional_positions": [[0.165, 0.190, 0.042], [0.165, 0.310, 0.542], [0.335, 0.690, 0.042], [0.335, 0.810, 0.542], [0.665, 0.190, 0.458], [0.665, 0.310, 0.958], [0.835, 0.690, 0.458], [0.835, 0.810, 0.958], [0.054, 0.044, 0.618], [0.054, 0.456, 0.118], [0.100, 0.137, 0.604], [0.100, 0.363, 0.104], [0.163, 0.556, 0.609], [0.163, 0.944, 0.109], [0.205, 0.508, 0.112], [0.205, 0.992, 0.612], [0.233, 0.643, 0.600], [0.233, 0.857, 0.100], [0.267, 0.143, 0.600], [0.267, 0.357, 0.100], [0.295, 0.008, 0.112], [0.295, 0.492, 0.612], [0.337, 0.056, 0.609], [0.337, 0.444, 0.109], [0.400, 0.637, 0.604], [0.400, 0.863, 0.104], [0.446, 0.544, 0.618], [0.446, 0.956, 0.118], [0.554, 0.044, 0.882], [0.554, 0.456, 0.382], [0.600, 0.137, 0.896], [0.600, 0.363, 0.396], [0.663, 0.556, 0.891], [0.663, 0.944, 0.391], [0.705, 0.508, 0.388], [0.705, 0.992, 0.888], [0.733, 0.643, 0.900], [0.733, 0.857, 0.400], [0.767, 0.143, 0.900], [0.767, 0.357, 0.400], [0.795, 0.008, 0.388], [0.795, 0.492, 0.888], [0.837, 0.056, 0.891], [0.837, 0.444, 0.391], [0.900, 0.637, 0.896], [0.900, 0.863, 0.396], [0.946, 0.544, 0.882], [0.946, 0.956, 0.382], [0.010, 0.641, 0.292], [0.010, 0.859, 0.792], [0.016, 0.205, 0.590], [0.016, 0.295, 0.090], [0.023, 0.536, 0.607], [0.023, 0.964, 0.107], [0.062, 0.165, 0.288], [0.062, 0.335, 0.788], [0.077, 0.512, 0.876], [0.077, 0.988, 0.376], [0.111, 0.166, 0.899], [0.111, 0.334, 0.399], [0.165, 0.717, 0.584], [0.165, 0.783, 0.084], [0.211, 0.590, 0.106], [0.211, 0.910, 0.606], [0.289, 0.090, 0.106], [0.289, 0.410, 0.606], [0.335, 0.217, 0.584], [0.335, 0.283, 0.084], [0.389, 0.666, 0.899], [0.389, 0.834, 0.399], [0.423, 0.012, 0.876], [0.423, 0.488, 0.376], [0.438, 0.665, 0.288], [0.438, 0.835, 0.788], [0.477, 0.036, 0.607], [0.477, 0.464, 0.107], [0.484, 0.705, 0.590], [0.484, 0.795, 0.090], [0.490, 0.141, 0.292], [0.490, 0.359, 0.792], [0.510, 0.641, 0.208], [0.510, 0.859, 0.708], [0.516, 0.205, 0.910], [0.516, 0.295, 0.410], [0.523, 0.536, 0.893], [0.523, 0.964, 0.393], [0.562, 0.165, 0.212], [0.562, 0.335, 0.712], [0.577, 0.512, 0.624], [0.577, 0.988, 0.124], [0.611, 0.166, 0.601], [0.611, 0.334, 0.101], [0.665, 0.717, 0.916], [0.665, 0.783, 0.416], [0.711, 0.590, 0.394], [0.711, 0.910, 0.894], [0.789, 0.090, 0.394], [0.789, 0.410, 0.894], [0.835, 0.217, 0.916], [0.835, 0.283, 0.416], [0.889, 0.666, 0.601], [0.889, 0.834, 0.101], [0.923, 0.012, 0.624], [0.923, 0.488, 0.124], [0.938, 0.665, 0.212], [0.938, 0.835, 0.712], [0.977, 0.036, 0.893], [0.977, 0.464, 0.393], [0.984, 0.705, 0.910], [0.984, 0.795, 0.410], [0.990, 0.141, 0.208], [0.990, 0.359, 0.708]], "formation_enthalpy_0k_ev_per_atom": -0.417, "total_energy_ev_per_cell": -732.3, "space_group": "Pbca, No. 61"}



# 8
{"formula": "Os2C3", "functional": "PBE", "state": "optimized geometry", "lattice_angstrom": [[5.018, 0.000, 0.000], [0.000, 5.018, 0.000], [0.000, 0.000, 7.912]], "species": ["Os", "Os", "Os", "Os", "Os", "Os", "Os", "Os", "C", "C", "C", "C", "C", "C", "C", "C", "C", "C", "C", "C"], "fractional_positions": [[0.000, 0.000, 0.000], [0.000, 0.000, 0.500], [0.000, 0.500, 0.105], [0.000, 0.500, 0.605], [0.500, 0.000, 0.395], [0.500, 0.000, 0.895], [0.500, 0.500, 0.250], [0.500, 0.500, 0.750], [0.168, 0.168, 0.250], [0.168, 0.832, 0.750], [0.230, 0.340, 0.919], [0.230, 0.660, 0.419], [0.340, 0.230, 0.581], [0.340, 0.770, 0.081], [0.660, 0.230, 0.081], [0.660, 0.770, 0.581], [0.770, 0.340, 0.419], [0.770, 0.660, 0.919], [0.832, 0.168, 0.750], [0.832, 0.832, 0.250]], "formation_enthalpy_0k_ev_per_atom": 1.224, "total_energy_ev_per_cell": -176.1, "polymorph_energy_mev_per_atom": 52, "space_group": "P-4c2, No. 116"}



# 9
{"formula": "OsC", "functional": "PBE", "state": "optimized geometry", "lattice_angstrom": [[2.698, 0.000, 0.000], [0.000, 2.698, 0.000], [0.000, 0.000, 2.698]], "species": ["Os", "C"], "fractional_positions": [[0.000, 0.000, 0.000], [0.500, 0.500, 0.500]], "formation_enthalpy_0k_ev_per_atom": 1.480, "total_energy_ev_per_cell": -17.5, "polymorph_energy_mev_per_atom": 763, "space_group": "Pm-3m, No. 221"}



# 10
{"formula": "OsC", "functional": "PBE", "state": "optimized geometry", "lattice_angstrom": [[4.466, 0.000, 0.000], [0.000, 4.466, 0.000], [0.000, 0.000, 4.466]], "species": ["Os", "Os", "Os", "Os", "C", "C", "C", "C"], "fractional_positions": [[0.180, 0.320, 0.680], [0.320, 0.680, 0.180], [0.680, 0.180, 0.320], [0.820, 0.820, 0.820], [0.057, 0.943, 0.443], [0.443, 0.057, 0.943], [0.557, 0.557, 0.557], [0.943, 0.443, 0.057]], "formation_enthalpy_0k_ev_per_atom": 0.777, "total_energy_ev_per_cell": -75.6, "polymorph_energy_mev_per_atom": 60, "space_group": "P2_13, No. 198"}



# 11
{"formula": "OsC", "functional": "PBE", "state": "optimized geometry", "lattice_angstrom": [[2.929, 0.000, 0.000], [-1.464, 2.536, 0.000], [0.000, 0.000, 5.505]], "species": ["Os", "Os", "C", "C"], "fractional_positions": [[0.000, 0.000, 0.000], [0.000, 0.000, 0.500], [0.333, 0.667, 0.250], [0.667, 0.333, 0.750]], "formation_enthalpy_0k_ev_per_atom": 0.928, "total_energy_ev_per_cell": -37.2, "polymorph_energy_mev_per_atom": 211, "space_group": "P6_3/mmc, No. 194"}